{
  "formula": "CaMn3ZnSi5O15",
  "functional": "PBE+U",
  "state": "optimized geometry",
  "lattice": [[-0.9996, -6.7156, -0.3237], [3.4207, 0.3255, -7.0173], [8.8720, -1.2758, 7.7666]],
  "species": ["O", "Mn", "Mn", "Si", "O", "Si", "Si", "O", "Si", "Si", "O", "Si", "O", "O", "O", "O", "O", "O", "O", "O", "Si", "O", "O", "Ca", "O", "Ca", "Si", "Zn", "O", "Si", "O", "O", "Mn", "O", "O", "O", "O", "O", "O", "Mn", "O", "Si", "Mn", "O", "O", "Zn", "Mn", "O", "O", "O"],
  "frac_coords": [[0.9606, 0.9546, 0.6785], [0.1873, 0.5091, 0.7291], [0.1262, 0.3172, 0.4438], [0.7592, 0.7413, 0.0885], [0.8116, 0.5469, 0.0990], [0.7084, 0.4599, 0.7425], [0.1517, 0.0743, 0.6542], [0.8890, 0.7513, 0.3894], [0.6391, 0.2684, 0.4720], [0.8483, 0.9257, 0.3458], [0.2949, 0.1400, 0.7787], [0.2408, 0.2587, 0.9115], [0.6546, 0.9251, 0.8520], [0.1911, 0.6001, 0.5632], [0.3454, 0.0749, 0.1480], [0.2994, 0.9451, 0.5648], [0.1884, 0.4531, 0.9010], [0.6346, 0.3138, 0.6165], [0.4204, 0.2552, 0.4141], [0.5138, 0.5771, 0.7798], [0.5014, 0.7763, 0.8776], [0.3654, 0.6862, 0.3835], [0.4402, 0.2607, 0.9942], [0.3677, 0.9543, 0.3044], [0.5598, 0.7393, 0.0058], [0.6323, 0.0457, 0.6956], [0.4986, 0.2237, 0.1224], [0.8076, 0.3148, 0.9803], [0.0500, 0.1638, 0.9608], [0.3609, 0.7316, 0.5280], [0.1071, 0.4013, 0.2669], [0.2633, 0.7963, 0.8756], [0.8127, 0.4909, 0.2709], [0.8089, 0.3999, 0.4368], [0.0394, 0.0454, 0.3215], [0.1110, 0.2487, 0.6106], [0.7450, 0.3260, 0.8227], [0.7367, 0.2037, 0.1244], [0.9500, 0.8362, 0.0392], [0.9658, 0.8831, 0.8544], [0.7051, 0.8600, 0.2213], [0.2916, 0.5401, 0.2575], [0.8738, 0.6828, 0.5562], [0.7006, 0.0549, 0.4352], [0.2550, 0.6740, 0.1773], [0.1924, 0.6852, 0.0197], [0.0342, 0.1169, 0.1456], [0.4862, 0.4229, 0.2202], [0.8929, 0.5987, 0.7331], [0.5796, 0.7448, 0.5859]],
  "volume_a3_per_atom": 12.1,
  "magnetic_moment_mub_per_fu": 5.00
}

{
  "formula": "MoO2",
  "functional": "PBE+U",
  "state": "optimized geometry",
  "lattice": [[-2.6378, -1.4212, 1.2970], [2.5420, -1.6909, -1.1572], [4.5930, 0.2926, 9.6614]],
  "species": ["O", "O", "O", "O", "Mo", "Mo"],
  "frac_coords": [[0.1651, 0.8349, 0.5902], [0.8349, 0.1651, 0.0902], [0.1651, 0.8349, 0.9098], [0.8349, 0.1651, 0.4098], [0.5000, 0.5000, 0.5000], [0.5000, 0.5000, 0.0000]],
  "volume_a3_per_atom": 15.9,
  "magnetic_moment_mub_per_fu": 2.00
}

{
  "formula": "CoO",
  "functional": "PBE+U",
  "state": "optimized geometry",
  "lattice": [[-1.7513, 2.4653, -0.0137], [2.6201, 0.0036, -1.4853], [-3.5552, -2.4860, -3.0728]],
  "species": ["O", "O", "Co", "Co"],
  "frac_coords": [[0.7529, 0.5014, 0.2503], [0.2471, 0.4986, 0.7497], [0.5000, 0.0000, 0.5000], [0.0000, 0.0000, 0.0000]],
  "volume_a3_per_atom": 9.9
}

{
  "formula": "Rb4MgFe4O8",
  "functional": "PBE+U",
  "state": "optimized geometry",
  "lattice": [[5.8810, -0.7664, 0.0426], [-0.7187, 5.8702, -0.0353], [0.0853, -0.0098, 8.7338]],
  "species": ["Rb", "O", "Rb", "O", "O", "O", "Fe", "O", "O", "Rb", "O", "Mg", "Rb", "O", "Fe", "Fe", "Fe"],
  "frac_coords": [[0.8954, 0.5498, 0.3801], [0.4119, 0.6090, 0.4011], [0.9930, 0.9754, 0.6661], [0.7140, 0.5243, 0.7771], [0.9997, 0.2005, 0.9569], [0.9247, 0.0783, 0.3265], [0.9790, 0.5070, 0.8864], [0.4490, 0.1717, 0.5322], [0.2357, 0.6282, 0.7577], [0.4697, 0.5783, 0.0612], [0.3729, 0.0995, 0.1876], [0.2795, 0.2627, 0.3658], [0.5037, 0.0580, 0.8575], [0.9757, 0.6944, 0.0696], [0.4576, 0.5035, 0.6308], [0.0511, 0.0131, 0.1232], [0.5585, 0.9514, 0.3717]],
  "volume_a3_per_atom": 17.5,
  "magnetic_moment_mub_per_fu": 18.00,
  "de_polymorph_ev_per_atom": 0.000
}

{
  "formula": "MgMn2O4",
  "functional": "PBE+U",
  "state": "optimized geometry",
  "lattice": [[1.9936, -4.4354, 3.5779], [5.9275, -1.0533, 0.4518], [3.7395, 10.8559, 16.4506]],
  "species": ["O", "O", "O", "O", "O", "Mn", "Mn", "Mn", "Mn", "Mg", "O", "Mg", "Mn", "O", "Mn", "Mg", "Mn", "O", "O", "Mg", "O", "O", "Mn", "Mn", "O", "O", "O", "O", "O", "O", "O", "Mn", "O", "Mg", "O", "O", "O", "Mg", "Mn", "Mn", "O", "O", "O", "Mn", "O", "O", "Mg", "O", "O", "O", "O", "Mn", "Mn", "Mn", "O", "Mg"],
  "frac_coords": [[0.4295, 0.4295, 0.6840], [0.0674, 0.0674, 0.3221], [0.3210, 0.7668, 0.0640], [0.1857, 0.7249, 0.4320], [0.5729, 0.5729, 0.3195], [0.8748, 0.3750, 0.3752], [0.6264, 0.1274, 0.6245], [0.1274, 0.6264, 0.6245], [0.3757, 0.8735, 0.8750], [0.8520, 0.8520, 0.9705], [0.1827, 0.1827, 0.9263], [0.8749, 0.8749, 0.3751], [0.8995, 0.8995, 0.7802], [0.6787, 0.2269, 0.9362], [0.6238, 0.1216, 0.1256], [0.6029, 0.6029, 0.7187], [0.6484, 0.6484, 0.5324], [0.9333, 0.9333, 0.6776], [0.8196, 0.8196, 0.5697], [0.7504, 0.7504, 0.2506], [0.5673, 0.5673, 0.8218], [0.2768, 0.8139, 0.5689], [0.3519, 0.3519, 0.4656], [0.1216, 0.6238, 0.1256], [0.4314, 0.9788, 0.6858], [0.9354, 0.4721, 0.1812], [0.3245, 0.3245, 0.0647], [0.8169, 0.8169, 0.0719], [0.5187, 0.0727, 0.8137], [0.7668, 0.3210, 0.0640], [0.7249, 0.1857, 0.4320], [0.8735, 0.3757, 0.8750], [0.2269, 0.6787, 0.9362], [0.3755, 0.3755, 0.8749], [0.6825, 0.6825, 0.4286], [0.1766, 0.1766, 0.4309], [0.0727, 0.5187, 0.8137], [0.1253, 0.1253, 0.6246], [0.3980, 0.3980, 0.2841], [0.2489, 0.2489, 0.7494], [0.9788, 0.4314, 0.6858], [0.0252, 0.5637, 0.3185], [0.0701, 0.0701, 0.8118], [0.1012, 0.1012, 0.2185], [0.8139, 0.2768, 0.5689], [0.9303, 0.9303, 0.1816], [0.9993, 0.9993, 0.4998], [0.5637, 0.0252, 0.3185], [0.3166, 0.3166, 0.5716], [0.4721, 0.9354, 0.1812], [0.4324, 0.4324, 0.1779], [0.5019, 0.5019, 0.9992], [0.1498, 0.1498, 0.0311], [0.3750, 0.8748, 0.3752], [0.6818, 0.6818, 0.9385], [0.6252, 0.6252, 0.1254]],
  "volume_a3_per_atom": 11.2,
  "magnetic_moment_mub_per_fu": 8.00,
  "de_polymorph_ev_per_atom": 0.043
}

{
  "formula": "Cd5Mo2P8O28",
  "functional": "PBE+U",
  "state": "optimized geometry",
  "lattice": [[5.0718, 4.5124, 0.0000], [-5.0718, 4.5124, 0.0000], [0.0000, 3.4401, 24.6648]],
  "species": ["O", "O", "O", "O", "O", "O", "O", "O", "Mo", "P", "O", "O", "P", "O", "P", "O", "O", "P", "O", "Cd", "Cd", "O", "P", "O", "O", "P", "Cd", "P", "O", "Cd", "O", "O", "O", "O", "O", "P", "O", "O", "O", "O", "P", "P", "O", "O", "O", "O", "Cd", "O", "Cd", "O", "O", "P", "O", "P", "O", "Cd", "O", "O", "Mo", "O", "O", "P", "O", "O", "O", "O", "Cd", "O", "Cd", "O", "Cd", "Mo", "O", "O", "O", "O", "P", "O", "O", "O", "P", "O", "P", "O", "O", "Mo"],
  "frac_coords": [[0.7091, 0.7036, 0.9021], [0.9815, 0.5984, 0.6062], [0.5381, 0.8153, 0.7286], [0.0313, 0.7403, 0.4721], [0.9831, 0.6700, 0.0393], [0.4122, 0.4357, 0.9002], [0.7537, 0.1798, 0.3500], [0.8202, 0.2463, 0.1500], [0.7196, 0.0250, 0.8830], [0.7692, 0.1768, 0.5067], [0.2871, 0.0208, 0.1982], [0.9792, 0.7129, 0.3018], [0.1945, 0.9179, 0.8874], [0.7129, 0.9792, 0.8018], [0.4750, 0.3810, 0.6266], [0.4101, 0.3939, 0.1870], [0.3607, 0.7610, 0.3708], [0.5250, 0.6190, 0.3734], [0.6700, 0.9831, 0.5393], [0.4160, 0.1171, 0.3623], [0.6995, 0.6804, 0.5091], [0.0470, 0.0700, 0.8748], [0.6934, 0.7979, 0.7694], [0.2390, 0.6393, 0.1292], [0.9300, 0.9530, 0.6252], [0.0821, 0.8055, 0.6126], [0.7980, 0.2020, 0.2500], [0.1768, 0.7692, 0.0067], [0.2909, 0.2964, 0.0979], [0.3005, 0.3196, 0.4909], [0.8835, 0.7414, 0.7431], [0.3939, 0.4101, 0.6870], [0.3637, 0.6560, 0.4969], [0.4016, 0.0185, 0.8938], [0.4357, 0.4122, 0.4002], [0.3810, 0.4750, 0.1266], [0.4619, 0.1847, 0.2714], [0.5878, 0.5643, 0.0998], [0.7414, 0.8835, 0.2431], [0.8949, 0.1840, 0.0520], [0.2021, 0.3066, 0.7306], [0.8232, 0.2308, 0.9933], [0.2586, 0.1165, 0.7569], [0.2597, 0.9687, 0.0279], [0.7403, 0.0313, 0.9721], [0.5643, 0.5878, 0.5998], [0.5840, 0.8829, 0.6377], [0.0185, 0.4016, 0.3938], [0.3196, 0.3005, 0.9909], [0.2964, 0.2909, 0.5979], [0.5899, 0.6061, 0.8130], [0.6190, 0.5250, 0.8734], [0.1840, 0.8949, 0.5520], [0.2308, 0.8232, 0.4933], [0.6393, 0.2390, 0.6292], [0.8829, 0.5840, 0.1377], [0.8161, 0.1051, 0.4480], [0.6061, 0.5899, 0.3130], [0.9750, 0.2804, 0.6170], [0.1847, 0.4619, 0.7714], [0.1798, 0.7537, 0.8500], [0.8055, 0.0821, 0.1126], [0.1051, 0.8161, 0.9480], [0.9530, 0.9300, 0.1252], [0.3440, 0.6363, 0.0031], [0.0169, 0.3300, 0.9607], [0.1171, 0.4160, 0.8623], [0.6560, 0.3637, 0.9969], [0.6804, 0.6995, 0.0091], [0.5984, 0.9815, 0.1062], [0.2020, 0.7980, 0.7500], [0.2804, 0.9750, 0.1170], [0.7610, 0.3607, 0.8708], [0.6363, 0.3440, 0.5031], [0.2463, 0.8202, 0.6500], [0.0700, 0.0470, 0.3748], [0.7979, 0.6934, 0.2694], [0.3300, 0.0169, 0.4607], [0.9687, 0.2597, 0.5279], [0.1165, 0.2586, 0.2569], [0.3066, 0.2021, 0.2306], [0.0208, 0.2871, 0.6982], [0.9179, 0.1945, 0.3874], [0.8153, 0.5381, 0.2286], [0.7036, 0.7091, 0.4021], [0.0250, 0.7196, 0.3830]],
  "volume_a3_per_atom": 13.1
}

{
  "formula": "MnNiP2O7",
  "functional": "PBE+U",
  "state": "optimized geometry",
  "lattice": [[-4.1469, -1.6727, -0.8294], [3.5381, -5.4352, 1.2180], [-1.8801, 0.6009, 8.2487]],
  "species": ["P", "Ni", "O", "O", "O", "P", "O", "Ni", "O", "O", "Mn", "O", "P", "O", "O", "P", "O", "O", "O", "O", "Mn", "O"],
  "frac_coords": [[0.9465, 0.9292, 0.9981], [0.5385, 0.2135, 0.8214], [0.2502, 0.0865, 0.0052], [0.7734, 0.9177, 0.1531], [0.0380, 0.7136, 0.9590], [0.1300, 0.4981, 0.9985], [0.2502, 0.5865, 0.5052], [0.5380, 0.7133, 0.3215], [0.3029, 0.0093, 0.6540], [0.7734, 0.4178, 0.6532], [0.5383, 0.2137, 0.1985], [0.8270, 0.8394, 0.5045], [0.9465, 0.4291, 0.4981], [0.3029, 0.5093, 0.1539], [0.3241, 0.9700, 0.3545], [0.1300, 0.9981, 0.4985], [0.0381, 0.2136, 0.4590], [0.7532, 0.4571, 0.3532], [0.7532, 0.9572, 0.8531], [0.3238, 0.4698, 0.8544], [0.5384, 0.7137, 0.6988], [0.8270, 0.3395, 0.0045]],
  "volume_a3_per_atom": 11.3,
  "magnetic_moment_mub_per_fu": 0.00
}

{
  "formula": "VOF",
  "functional": "PBE+U",
  "state": "optimized geometry",
  "lattice": [[2.5859, 2.1866, -0.6092], [1.3432, 0.2387, -3.1588], [-3.9368, 3.7460, -3.2650]],
  "species": ["O", "V", "F", "V", "O", "F"],
  "frac_coords": [[0.8751, 0.2498, 0.6253], [0.2395, 0.5211, 0.7184], [0.6267, 0.7467, 0.8799], [0.7605, 0.4789, 0.2816], [0.1249, 0.7502, 0.3747], [0.3733, 0.2533, 0.1201]],
  "volume_a3_per_atom": 10.3,
  "magnetic_moment_mub_per_fu": 2.00
}

{
  "formula": "CrS2NO8",
  "functional": "PBE+U",
  "state": "optimized geometry",
  "lattice": [[2.4664, -4.2719, 0.0000], [2.4664, 4.2719, 0.0000], [0.0000, 0.0000, 8.5584]],
  "species": ["O", "O", "Cr", "O", "O", "O", "O", "N", "S", "O", "O", "S"],
  "frac_coords": [[0.9156, 0.2730, 0.8547], [0.2730, 0.9156, 0.1453], [0.0000, 0.0000, 0.0000], [0.7270, 0.6426, 0.8547], [0.0844, 0.3574, 0.1453], [0.3574, 0.0844, 0.8547], [0.6667, 0.3333, 0.6237], [0.0000, 0.0000, 0.5000], [0.3333, 0.6667, 0.2065], [0.3333, 0.6667, 0.3763], [0.6426, 0.7270, 0.1453], [0.6667, 0.3333, 0.7935]],
  "volume_a3_per_atom": 15.0,
  "magnetic_moment_mub_per_fu": 1.01
}

{
  "formula": "Gd2Mo3O12",
  "functional": "PBE+U",
  "state": "optimized geometry",
  "lattice": [[-2.7188, -6.7884, -1.7293], [3.6079, -2.9470, 5.8960], [-8.6425, 1.8754, 6.2258]],
  "species": ["O", "O", "O", "O", "O", "Mo", "O", "O", "O", "O", "Mo", "Mo", "O", "O", "Mo", "O", "O", "Gd", "O", "O", "O", "O", "Mo", "O", "Gd", "O", "O", "Gd", "Gd", "O", "Mo", "O", "O", "O"],
  "frac_coords": [[0.9592, 0.8108, 0.9032], [0.6951, 0.1951, 0.4790], [0.4962, 0.2755, 0.7016], [0.4592, 0.6892, 0.0968], [0.5408, 0.3108, 0.0968], [0.5000, 0.5000, 0.0000], [0.0038, 0.7755, 0.2984], [0.8049, 0.6951, 0.5210], [0.8732, 0.3732, 0.6896], [0.1951, 0.3049, 0.5210], [0.7928, 0.7072, 0.3570], [0.2072, 0.2928, 0.3570], [0.6268, 0.8732, 0.3104], [0.3049, 0.8049, 0.4790], [0.0000, 0.0000, 0.0000], [0.2755, 0.5038, 0.2984], [0.6892, 0.5408, 0.9032], [0.3126, 0.8126, 0.2618], [0.5038, 0.7245, 0.7016], [0.2245, 0.0038, 0.7016], [0.7755, 0.9962, 0.7016], [0.3108, 0.4592, 0.9032], [0.2928, 0.7928, 0.6430], [0.9962, 0.2245, 0.2984], [0.6874, 0.1874, 0.2618], [0.7245, 0.4962, 0.2984], [0.3732, 0.1268, 0.3104], [0.8126, 0.6874, 0.7382], [0.1874, 0.3126, 0.7382], [0.8108, 0.0408, 0.0968], [0.7072, 0.2072, 0.6430], [0.1268, 0.6268, 0.6896], [0.1892, 0.9592, 0.0968], [0.0408, 0.1892, 0.9032]],
  "volume_a3_per_atom": 18.0,
  "de_polymorph_ev_per_atom": 0.001
}

Calculated formation energy? In order: -2.90; -1.81; -1.25; -1.66; -2.30; -2.40; -2.40; -2.78; -1.17; -2.64 eV per atom.